The following is a DFT calculation (GGA-PBE) of Li3ZrN2 after structural relaxation.

Structure (POSCAR):
```
Li3ZrN2
1.0
-3.910 -3.019 3.596
7.969 -6.801 2.956
3.131 4.698 2.367
Zr N Li
4 8 12
direct
0.484 0.704 0.734
0.516 0.204 0.766
0.484 0.796 0.234
0.516 0.296 0.266
0.489 0.947 0.048
0.388 0.146 0.396
0.511 0.447 0.452
0.489 0.553 0.548
0.511 0.053 0.952
0.612 0.646 0.104
0.612 0.854 0.604
0.388 0.354 0.896
0.320 0.975 0.543
0.972 0.799 0.734
0.229 0.064 0.046
0.771 0.564 0.454
0.972 0.701 0.234
0.028 0.299 0.766
0.229 0.436 0.546
0.680 0.475 0.957
0.680 0.025 0.457
0.320 0.525 0.043
0.028 0.201 0.266
0.771 0.936 0.954
```

## Properties
The magnetic moment is 0.00 μB per atom. The formation energy is -4.1 eV/f.u. The polymorph energy (0 for the lowest one) is 0.2204 eV/atom.